First-principles (r2SCAN) data for Y3Zn2Au4 after structural relaxation, as listed in the Materials Project database.

* raw total energy: -32.040 eV per atom
* space-group type: Amm2

```
Y3Zn2Au4
1.0
0.000 0.000 -3.866
-3.787 -6.559 0.000
-3.645 6.477 0.000
Y Zn Au
3 2 4
Cartesian
-5.218 3.751 0.000
-4.529 0.044 0.000
-5.129 -3.982 0.000
-1.913 -0.039 -1.933
-2.722 4.801 -1.933
-3.785 -2.068 -1.933
-3.543 2.165 -1.933
-0.102 -0.177 0.000
-6.430 1.653 -1.933
```

First-principles (r2SCAN) data for Sr3Yb after structural relaxation, as listed in the Materials Project database.

* energy relative to the lowest polymorph listed for this composition: 0.049 eV per atom
* raw total energy: -20.211 eV per atom
* space-group type: Fm-3m

```
Sr3Yb
1.0
0.000 4.515 4.515
4.515 0.000 4.515
4.515 4.515 0.000
Sr Yb
3 1
Cartesian
2.258 2.258 2.258
6.773 6.773 6.773
4.515 4.515 4.515
0.000 0.000 0.000
```

First-principles (r2SCAN) data for CrAgSe2 after structural relaxation, as listed in the Materials Project database.

* raw total energy: -16.838 eV per atom
* space-group type: R3m

```
CrAgSe2
1.0
3.579 -0.023 6.410
1.650 3.175 6.410
-0.039 -0.023 7.341
Cr Ag Se
1 1 2
Cartesian
5.189 3.129 20.159
0.783 0.472 3.041
1.406 0.848 5.461
3.811 2.297 14.802
```

First-principles (r2SCAN) data for SrTh2Se5 after structural relaxation, as listed in the Materials Project database.

* raw total energy: -31.346 eV per atom
* space-group type: P2_1/c

```
SrTh2Se5
1.0
7.953 0.000 0.000
0.000 8.787 -0.002
0.000 -0.003 12.655
Sr Th Se
4 8 20
Cartesian
7.681 4.440 10.450
3.705 4.343 8.531
0.271 4.344 2.203
4.248 4.442 4.122
4.563 2.213 0.104
7.365 2.211 6.432
3.389 6.572 12.549
0.587 6.573 6.221
4.118 0.017 4.056
0.142 8.769 2.270
3.835 8.767 8.597
7.811 0.016 10.383
6.677 8.412 7.608
6.587 6.809 3.983
5.342 6.808 10.311
1.365 1.975 8.669
4.317 1.948 6.349
0.341 6.835 12.631
3.635 6.837 6.304
7.612 1.949 0.022
1.569 6.715 9.068
5.546 2.068 9.912
6.383 2.069 3.585
5.252 8.414 1.280
6.588 4.751 7.456
2.612 4.032 11.525
1.365 4.033 5.197
5.341 4.753 1.128
2.407 6.717 2.740
2.701 0.371 11.372
1.275 0.372 5.045
2.611 1.977 2.342
```

First-principles (r2SCAN) data for NaLaInSbO6 after structural relaxation, as listed in the Materials Project database.

* raw total energy: -13.956 eV per atom
* space-group type: F-43m

```
NaLaInSbO6
1.0
0.000 -4.039 -4.039
4.039 0.000 -4.039
4.039 -4.039 0.000
Na La In Sb O
1 1 1 1 6
Cartesian
2.019 -2.019 -2.019
6.058 -6.058 -6.058
0.000 0.000 0.000
4.039 -4.039 -4.039
2.090 -4.039 -4.039
5.988 -4.039 -4.039
4.039 -5.988 -4.039
4.039 -2.090 -4.039
4.039 -4.039 -5.988
4.039 -4.039 -2.090
```

First-principles (r2SCAN) data for SrGaSi after structural relaxation, as listed in the Materials Project database.

* raw total energy: -12.326 eV per atom
* space-group type: P-6m2

```
SrGaSi
1.0
-1.147 -3.000 2.674
1.064 -0.989 -3.919
4.508 -0.516 1.355
Sr Ga Si
1 1 1
Cartesian
0.327 -1.659 -1.721
1.844 -2.588 1.154
2.254 -0.258 0.677
```

Number 1: E_form -0.806 eV/atom. Number 2: E_form 0.281 eV/atom. Number 3: E_form -0.575 eV/atom. Number 4: E_form -2.139 eV/atom. Number 5: E_form -2.213 eV/atom. Number 6: E_form -0.539 eV/atom.